[1]
# DySbPt | the Materials Project database | PBE | optimized geometry
# Calculated volume (Å³ per cell): 289.5
# Piezoelectric modulus e_max (C/m2): 0.35
# ΔE_f (eV/f.u.): -3.65
# Crystal system: cubic
data_DySbPt
_cell_length_a 6.615
_cell_length_b 6.615
_cell_length_c 6.615
_cell_angle_alpha 90.00
_cell_angle_beta 90.00
_cell_angle_gamma 90.00
_space_group_name_H-M_alt 'F -4 3 m'
_space_group_IT_number 216
_space_group_name_Hall 'F -4 2 3'
loop_
_atom_site_label
_atom_site_type_symbol
_atom_site_fract_x
_atom_site_fract_y
_atom_site_fract_z
Dy1 Dy 0.000 0.000 0.000
Sb1 Sb 0.000 0.000 0.500
Pt1 Pt 0.250 0.250 0.750

[2]
# Tb2Br2O | the Materials Project database | PBE | optimized geometry
# M_tot (μB per atom): 0.00
# Calculated volume (Å³ per cell): 228.6
# ΔE_f (eV/f.u.): -6.55
# Corrected total energy (MP2020 scheme) (eV/atom): -4.81
# Crystal system: tetragonal
data_Tb2Br2O
_cell_length_a 4.140
_cell_length_b 4.140
_cell_length_c 13.334
_cell_angle_alpha 90.00
_cell_angle_beta 90.00
_cell_angle_gamma 90.00
_space_group_name_H-M_alt 'P 4/m m m'
_space_group_IT_number 123
_space_group_name_Hall '-P 4 2'
loop_
_atom_site_label
_atom_site_type_symbol
_atom_site_fract_x
_atom_site_fract_y
_atom_site_fract_z
Tb1 Tb 0.000 0.000 0.156
Br1 Br 0.000 0.000 0.353
O1 O 0.000 0.000 0.000

[3]
# CaMg6Zr | the Materials Project database | PBE | optimized geometry
# M_tot (μB per atom): 0.01
# Energy relative to the lowest polymorph listed for this composition (eV/atom): 0.0000
# Calculated volume (Å³ per cell): 195.3
# ΔE_f (eV/f.u.): 0.11
# Crystal system: tetragonal
data_CaMg6Zr
_cell_length_a 6.473
_cell_length_b 6.473
_cell_length_c 4.662
_cell_angle_alpha 90.00
_cell_angle_beta 90.00
_cell_angle_gamma 90.00
_space_group_name_H-M_alt 'P 4/m m m'
_space_group_IT_number 123
_space_group_name_Hall '-P 4 2'
loop_
_atom_site_label
_atom_site_type_symbol
_atom_site_fract_x
_atom_site_fract_y
_atom_site_fract_z
Ca1 Ca 0.000 0.000 0.000
Mg1 Mg 0.000 0.500 0.000
Mg2 Mg 0.265 0.265 0.500
Zr1 Zr 0.500 0.500 0.000

[4]
# Cs2AgSbCl6 | the Materials Project database | PBE | optimized geometry
# M_tot (μB per atom): 0.00
# Calculated volume (Å³ per cell): 1277.9
# ΔE_f (eV/f.u.): -16.55
# Corrected total energy (MP2020 scheme) (eV/atom): -3.64
# Crystal system: cubic
data_Cs2AgSbCl6
_cell_length_a 10.852
_cell_length_b 10.852
_cell_length_c 10.852
_cell_angle_alpha 90.00
_cell_angle_beta 90.00
_cell_angle_gamma 90.00
_space_group_name_H-M_alt 'F m -3 m'
_space_group_IT_number 225
_space_group_name_Hall '-F 4 2 3'
loop_
_atom_site_label
_atom_site_type_symbol
_atom_site_fract_x
_atom_site_fract_y
_atom_site_fract_z
Cs1 Cs 0.250 0.250 0.250
Ag1 Ag 0.000 0.000 0.000
Sb1 Sb 0.000 0.000 0.500
Cl1 Cl 0.000 0.000 0.254

[5]
# As4S5 | the Materials Project database | PBE | optimized geometry
# Calculated volume (Å³ per cell): 553.2
# ΔE_f (eV/f.u.): -3.66
# Corrected total energy (MP2020 scheme) (eV/atom): -4.78
# Crystal system: monoclinic
data_As4S5
_cell_length_a 8.094
_cell_length_b 8.477
_cell_length_c 8.262
_cell_angle_alpha 90.00
_cell_angle_beta 102.63
_cell_angle_gamma 90.00
_space_group_name_H-M_alt 'P 1 21/m 1'
_space_group_IT_number 11
loop_
_space_group_symop_operation_xyz
'x,y,z'
'-x,-y,-z'
'-x,y+1/2,-z'
'x,-y+1/2,z'
loop_
_atom_site_label
_atom_site_type_symbol
_atom_site_fract_x
_atom_site_fract_y
_atom_site_fract_z
As1 As 0.029 0.250 0.452
As2 As 0.238 0.519 0.888
As3 As 0.283 0.750 0.522
S1 S 0.028 0.043 0.275
S2 S 0.284 0.750 0.035
S3 S 0.382 0.539 0.682

[6]
# HoInPt2 | the Materials Project database | PBE | optimized geometry
# Calculated volume (Å³ per cell): 313.9
# ΔE_f (eV/f.u.): -3.65
# Crystal system: cubic
data_HoInPt2
_cell_length_a 6.796
_cell_length_b 6.796
_cell_length_c 6.796
_cell_angle_alpha 90.00
_cell_angle_beta 90.00
_cell_angle_gamma 90.00
_space_group_name_H-M_alt 'F m -3 m'
_space_group_IT_number 225
_space_group_name_Hall '-F 4 2 3'
loop_
_atom_site_label
_atom_site_type_symbol
_atom_site_fract_x
_atom_site_fract_y
_atom_site_fract_z
Ho1 Ho 0.000 0.000 0.000
In1 In 0.000 0.000 0.500
Pt1 Pt 0.250 0.250 0.250

no.,calculated total energy (eV per cell)
1,-73.8
2,-23.4
3,-20.0
4,-130.8
5,-80.9
6,-92.5